Compound: Tm5BiPd2
Source: the Materials Project database
Functional: r2SCAN
Structure: relaxed

Cell lengths 7.665, 7.665, 13.566 Å; angles 90.00, 90.00, 90.00 degrees
Space group I4/mcm (No. 140)
One atom of each set of equivalent atoms:
Tm  0.000  0.000  0.000
Tm  0.154  0.346  0.140
Bi  0.000  0.000  0.250
Pd  0.139  0.361  0.500



Compound: FeH9C4N3O6
Source: the Materials Project database
Functional: r2SCAN
Structure: relaxed

Cell lengths 8.322, 11.690, 8.929 Å; angles 90.00, 90.00, 90.00 degrees
Space group Pnna (No. 52)
One atom of each set of equivalent atoms:
Fe  0.242  0.250  0.250
H  0.080  0.124  0.749
H  0.116  0.722  0.923
H  0.172  0.082  0.577
H  0.189  0.062  0.971
H  0.250  0.000  0.189
C  0.034  0.719  0.519
C  0.250  0.000  0.312
C  0.250  0.000  0.765
N  0.159  0.075  0.690
N  0.250  0.000  0.914
O  0.065  0.693  0.384
O  0.087  0.182  0.089
O  0.236  0.095  0.377



Compound: EuGa2Se4
Source: the Materials Project database
Functional: r2SCAN
Structure: relaxed

Cell lengths 6.298, 10.845, 10.903 Å; angles 90.00, 90.00, 90.00 degrees
Space group Cccm (No. 66)
One atom of each set of equivalent atoms:
Eu  0.000  0.000  0.250
Ga  0.001  0.262  0.000
Se  0.232  0.081  0.500
Se  0.250  0.250  0.170



Compound: RbPdBr3
Source: the Materials Project database
Functional: r2SCAN
Structure: relaxed

Cell lengths 5.227, 5.226, 5.227 Å; angles 90.00, 90.03, 90.00 degrees
Space group Pm (No. 6)
One atom of each set of equivalent atoms:
Rb  0.000  0.000  0.000
Pd  0.503  0.500  0.505
Br  0.003  0.500  0.504
Br  0.501  0.500  0.005
Br  0.504  0.000  0.504



Compound: NdRu2
Source: the Materials Project database
Functional: r2SCAN
Structure: relaxed

Cell lengths 7.635, 7.635, 7.635 Å; angles 90.00, 90.00, 90.00 degrees
Space group Fd-3m (No. 227, origin choice 2)
One atom of each set of equivalent atoms:
Nd  0.125  0.125  0.125
Ru  0.000  0.000  0.500



Compound: ErGa3
Source: the Materials Project database
Functional: r2SCAN
Structure: relaxed

Cell lengths 6.1950, 6.1950, 4.4771 Å; angles 90.00, 90.00, 120.00 degrees
Space group P6_3/mmc (No. 194)
One atom of each set of equivalent atoms:
Er  0.3333  0.6667  0.2500
Ga  0.1469  0.2938  0.7500



Compound: TbCdAu2
Source: the Materials Project database
Functional: r2SCAN
Structure: relaxed

Cell lengths 6.936, 6.936, 6.936 Å; angles 90.00, 90.00, 90.00 degrees
Space group Fm-3m (No. 225)
One atom of each set of equivalent atoms:
Tb  0.000  0.000  0.000
Cd  0.000  0.000  0.500
Au  0.250  0.250  0.250



Compound: V2HgO6
Source: the Materials Project database
Functional: r2SCAN
Structure: relaxed

Cell lengths 4.898, 14.507, 5.958 Å; angles 90.00, 90.00, 90.00 degrees
Space group Pbca (No. 61)
One atom of each set of equivalent atoms:
V  0.032  0.171  0.061
Hg  0.000  0.000  0.500
O  0.067  0.596  0.626
O  0.166  0.610  0.177
O  0.222  0.247  0.400



Compound: Na2FeO3
Source: the Materials Project database
Functional: r2SCAN
Structure: relaxed

Cell lengths 5.498, 9.972, 5.160 Å; angles 90.00, 106.16, 90.00 degrees
Space group Cc (No. 9)
One atom of each set of equivalent atoms:
Na  0.000  0.091  0.000
Na  0.497  0.255  0.985
Fe  0.477  0.065  0.478
O  0.191  0.449  0.745
O  0.285  0.074  0.721
O  0.330  0.210  0.320



Compound: SiO2
Source: the Materials Project database
Functional: r2SCAN
Structure: relaxed

Cell lengths 4.915, 7.055, 7.102 Å; angles 115.03, 102.26, 102.88 degrees
Space group P1 (No. 1)
One atom of each set of equivalent atoms:
Si  0.000  0.000  0.000
Si  0.191  0.227  0.511
Si  0.384  0.743  0.751
Si  0.691  0.072  0.660
O  0.184  0.140  0.261
O  0.195  0.480  0.622
O  0.195  0.883  0.868
O  0.471  0.821  0.578
O  0.490  0.224  0.655
O  0.693  0.806  0.941
O  0.892  0.070  0.507
O  0.910  0.165  0.911



Compound: HoNi2
Source: the Materials Project database
Functional: r2SCAN
Structure: relaxed

Cell lengths 7.066, 7.066, 7.066 Å; angles 90.00, 90.00, 90.00 degrees
Space group Fd-3m (No. 227, origin choice 2)
One atom of each set of equivalent atoms:
Ho  0.125  0.125  0.125
Ni  0.000  0.000  0.500



Compound: ErMn2Si2
Source: the Materials Project database
Functional: r2SCAN
Structure: relaxed

Cell lengths 3.854, 3.854, 10.432 Å; angles 90.00, 90.00, 90.00 degrees
Space group I4/mmm (No. 139)
One atom of each set of equivalent atoms:
Er  0.000  0.000  0.000
Mn  0.000  0.500  0.250
Si  0.000  0.000  0.383



Compound: Ho2InAg
Source: the Materials Project database
Functional: r2SCAN
Structure: relaxed

Cell lengths 3.623, 3.623, 7.514 Å; angles 90.00, 90.00, 90.00 degrees
Space group P4/mmm (No. 123)
One atom of each set of equivalent atoms:
Ho  0.000  0.000  0.234
In  0.500  0.500  0.500
Ag  0.500  0.500  0.000



Compound: RbSnF3
Source: the Materials Project database
Functional: r2SCAN
Structure: relaxed

Cell lengths 6.7607, 6.7607, 15.6775 Å; angles 90.00, 90.00, 120.00 degrees
Space group R-3 (No. 148, hexagonal axes)
One atom of each set of equivalent atoms:
Rb  0.0000  0.0000  0.1245
Sn  0.0000  0.0000  0.3625
F  0.0264  0.7762  0.7231



Compound: Sr2AlVO6
Source: the Materials Project database
Functional: r2SCAN
Structure: relaxed

Cell lengths 7.597, 7.597, 7.597 Å; angles 90.00, 90.00, 90.00 degrees
Space group Fm-3m (No. 225)
One atom of each set of equivalent atoms:
Sr  0.250  0.250  0.250
Al  0.000  0.000  0.000
V  0.000  0.000  0.500
O  0.000  0.000  0.251



Compound: PIr2
Source: the Materials Project database
Functional: r2SCAN
Structure: relaxed

Cell lengths 5.557, 5.557, 5.557 Å; angles 90.00, 90.00, 90.00 degrees
Space group Fm-3m (No. 225)
One atom of each set of equivalent atoms:
P  0.000  0.000  0.000
Ir  0.250  0.250  0.250



Compound: MoS2
Source: the Materials Project database
Functional: r2SCAN
Structure: relaxed

Cell lengths 3.1837, 3.1837, 34.4792 Å; angles 90.00, 90.00, 120.00 degrees
Space group P-3m1 (No. 164)
One atom of each set of equivalent atoms:
Mo  0.3333  0.6667  0.0936
Mo  0.3333  0.6667  0.7209
S  0.3333  0.6667  0.2341
S  0.3333  0.6667  0.3241
S  0.3333  0.6667  0.8614
S  0.3333  0.6667  0.9515



Compound: Tb3Al
Source: the Materials Project database
Functional: r2SCAN
Structure: relaxed

Cell lengths 4.761, 4.761, 4.761 Å; angles 90.00, 90.00, 90.00 degrees
Space group Pm-3m (No. 221)
One atom of each set of equivalent atoms:
Tb  0.000  0.000  0.500
Al  0.500  0.500  0.500



Compound: PrYTl2
Source: the Materials Project database
Functional: r2SCAN
Structure: relaxed

Cell lengths 7.708, 7.708, 7.708 Å; angles 90.00, 90.00, 90.00 degrees
Space group Fm-3m (No. 225)
One atom of each set of equivalent atoms:
Pr  0.000  0.000  0.000
Y  0.000  0.000  0.500
Tl  0.250  0.250  0.250



These records have electronic total energy values of -35.777 -7.189 -18.157 -16.402 -26.899 -17.622 -38.863 -14.610 -8.274 -9.891 -19.382 -16.841 -27.907 -12.265 -11.814 -38.378 -15.009 -25.332 -39.498 eV per atom, in the order they appear.
These records have magnetization values of 0.00 0.00 28.00 0.00 3.13 0.00 0.00 0.00 16.00 0.00 0.00 8.89 0.00 0.00 0.00 0.00 0.00 0.62 0.00 μB per cell, in the order they appear.